Record 1
This record from Materials Project describes crystalline Ca3Cd2Ga4 at its relaxed geometry. The functional is PBE-GGA.

Cell lengths 5.987, 5.987, 16.790 Å; angles 103.60, 103.60, 46.24 degrees
Fractional positions:
1 Ca 0.000 0.000 0.000
2 Ca 0.219 0.219 0.857
3 Ca 0.330 0.330 0.660
4 Ca 0.551 0.551 0.522
5 Ca 0.664 0.664 0.330
6 Ca 0.885 0.885 0.189
7 Cd 0.183 0.183 0.189
8 Cd 0.520 0.520 0.859
9 Cd 0.847 0.847 0.520
10 Cd 0.894 0.894 0.796
11 Ga 0.039 0.039 0.666
12 Ga 0.228 0.228 0.460
13 Ga 0.319 0.319 0.056
14 Ga 0.369 0.369 0.337
15 Ga 0.564 0.564 0.128
16 Ga 0.641 0.641 0.718
17 Ga 0.706 0.706 0.006
18 Ga 0.984 0.984 0.388

Summary:
ΔH_f (0 K) = -0.437 eV per atom

=====

Record 2
This record from Materials Project describes crystalline Rb2CuAuF6 at its relaxed geometry. The functional is PBE-GGA.

Cell lengths 6.106, 6.106, 6.106 Å; angles 60.00, 60.00, 60.00 degrees
Fractional positions:
1 Rb 0.250 0.250 0.250
2 Rb 0.750 0.750 0.750
3 Cu 0.000 0.000 0.000
4 Au 0.500 0.500 0.500
5 F 0.234 0.234 0.766
6 F 0.234 0.766 0.234
7 F 0.234 0.766 0.766
8 F 0.766 0.234 0.234
9 F 0.766 0.234 0.766
10 F 0.766 0.766 0.234

Summary:
ΔH_f (0 K) = -2.125 eV per atom
Total energy after the MP2020 corrections = -4.208 eV per atom

=====

Record 3
This record from Materials Project describes crystalline YGa2Ni3 at its relaxed geometry. The functional is PBE-GGA.

Cell lengths 8.934, 8.934, 3.923 Å; angles 90.00, 90.00, 120.00 degrees
Fractional positions:
1 Y 0.000 0.000 0.000
2 Y 0.333 0.667 0.500
3 Y 0.667 0.333 0.500
4 Ga 0.000 0.318 0.500
5 Ga 0.000 0.682 0.500
6 Ga 0.318 0.000 0.500
7 Ga 0.318 0.318 0.500
8 Ga 0.682 0.000 0.500
9 Ga 0.682 0.682 0.500
10 Ni 0.000 0.500 0.000
11 Ni 0.180 0.359 0.000
12 Ni 0.180 0.820 0.000
13 Ni 0.359 0.180 0.000
14 Ni 0.500 0.000 0.000
15 Ni 0.500 0.500 0.000
16 Ni 0.641 0.820 0.000
17 Ni 0.820 0.180 0.000
18 Ni 0.820 0.641 0.000

Summary:
ΔH_f (0 K) = -0.546 eV per atom

=====

Record 4
This record from Materials Project describes crystalline Na2Hg3S4O2 at its relaxed geometry. The functional is PBE-GGA.

Cell lengths 9.160, 9.160, 9.160 Å; angles 131.46, 119.62, 81.01 degrees
Fractional positions:
1 Na 0.240 0.016 0.255
2 Na 0.260 0.516 0.776
3 Na 0.740 0.484 0.224
4 Na 0.760 0.984 0.745
5 Hg 0.073 0.250 0.823
6 Hg 0.250 0.750 0.500
7 Hg 0.427 0.250 0.177
8 Hg 0.573 0.750 0.823
9 Hg 0.750 0.250 0.500
10 Hg 0.927 0.750 0.177
11 S 0.044 0.356 0.191
12 S 0.165 0.853 0.809
13 S 0.335 0.144 0.688
14 S 0.456 0.647 0.312
15 S 0.544 0.353 0.688
16 S 0.665 0.856 0.312
17 S 0.835 0.147 0.191
18 S 0.956 0.644 0.809
19 O 0.047 0.263 0.310
20 O 0.453 0.763 0.216
21 O 0.547 0.237 0.784
22 O 0.953 0.737 0.690

Summary:
ΔH_f (0 K) = -0.395 eV per atom
Total energy after the MP2020 corrections = -3.122 eV per atom

=====

Record 5
This record from Materials Project describes crystalline Cs2KSbI6 at its relaxed geometry. The functional is PBE-GGA.

Cell lengths 9.073, 9.073, 9.073 Å; angles 60.00, 60.00, 60.00 degrees
Fractional positions:
1 Cs 0.250 0.250 0.250
2 Cs 0.750 0.750 0.750
3 K 0.000 0.000 0.000
4 Sb 0.500 0.500 0.500
5 I 0.264 0.264 0.736
6 I 0.264 0.736 0.264
7 I 0.264 0.736 0.736
8 I 0.736 0.264 0.264
9 I 0.736 0.264 0.736
10 I 0.736 0.736 0.264

Summary:
ΔH_f (0 K) = -1.271 eV per atom
Total energy after the MP2020 corrections = -2.888 eV per atom

=====

Record 6
This record from Materials Project describes crystalline SrBi2B4O10 at its relaxed geometry. The functional is PBE-GGA.

Cell lengths 6.856, 7.036, 9.904 Å; angles 96.01, 108.93, 101.63 degrees
Fractional positions:
1 Sr 0.034 0.350 0.166
2 Sr 0.966 0.650 0.834
3 Bi 0.268 0.858 0.336
4 Bi 0.304 0.483 0.601
5 Bi 0.696 0.517 0.399
6 Bi 0.732 0.142 0.664
7 B 0.152 0.890 0.632
8 B 0.199 0.197 0.823
9 B 0.399 0.705 0.075
10 B 0.411 0.247 0.093
11 B 0.589 0.753 0.907
12 B 0.601 0.295 0.925
13 B 0.801 0.803 0.177
14 B 0.848 0.110 0.368
15 O 0.062 0.317 0.749
16 O 0.075 0.685 0.605
17 O 0.111 0.985 0.749
18 O 0.211 0.666 0.095
19 O 0.218 0.204 0.980
20 O 0.258 0.988 0.554
21 O 0.359 0.603 0.413
22 O 0.398 0.726 0.935
23 O 0.411 0.275 0.815
24 O 0.418 0.272 0.233
25 O 0.582 0.728 0.767
26 O 0.589 0.725 0.185
27 O 0.602 0.274 0.065
28 O 0.641 0.397 0.587
29 O 0.742 0.012 0.446
30 O 0.782 0.796 0.020
31 O 0.789 0.334 0.905
32 O 0.889 0.015 0.251
33 O 0.925 0.315 0.395
34 O 0.938 0.683 0.251

Summary:
ΔH_f (0 K) = -2.643 eV per atom
Total energy after the MP2020 corrections = -7.683 eV per atom

=====

Record 7
This record from Materials Project describes crystalline U4Si3Ru2 at its relaxed geometry. The functional is PBE-GGA.

Cell lengths 7.986, 7.986, 7.986 Å; angles 137.89, 103.44, 91.48 degrees
Fractional positions:
1 U 0.000 0.000 0.000
2 U 0.000 0.500 0.500
3 U 0.258 0.000 0.758
4 U 0.258 0.500 0.258
5 U 0.500 0.000 0.500
6 U 0.500 0.500 0.000
7 U 0.742 0.000 0.242
8 U 0.742 0.500 0.742
9 Si 0.177 0.187 0.510
10 Si 0.177 0.667 0.990
11 Si 0.402 0.152 0.250
12 Si 0.598 0.848 0.750
13 Si 0.823 0.333 0.010
14 Si 0.823 0.813 0.490
15 Ru 0.005 0.755 0.250
16 Ru 0.365 0.615 0.750
17 Ru 0.635 0.385 0.250
18 Ru 0.995 0.245 0.750

Summary:
ΔH_f (0 K) = -0.234 eV per atom

=====

Record 8
This record from Materials Project describes crystalline Zn3P2 at its relaxed geometry. The functional is PBE-GGA.

Cell lengths 9.906, 9.906, 9.906 Å; angles 109.47, 109.47, 109.47 degrees
Fractional positions:
1 Zn 0.011 0.035 0.263
2 Zn 0.024 0.489 0.752
3 Zn 0.035 0.263 0.011
4 Zn 0.228 0.465 0.476
5 Zn 0.237 0.272 0.748
6 Zn 0.248 0.976 0.511
7 Zn 0.252 0.763 0.728
8 Zn 0.263 0.011 0.035
9 Zn 0.272 0.748 0.237
10 Zn 0.465 0.476 0.228
11 Zn 0.476 0.228 0.465
12 Zn 0.489 0.752 0.024
13 Zn 0.511 0.248 0.976
14 Zn 0.524 0.772 0.535
15 Zn 0.535 0.524 0.772
16 Zn 0.728 0.252 0.763
17 Zn 0.737 0.989 0.965
18 Zn 0.748 0.237 0.272
19 Zn 0.752 0.024 0.489
20 Zn 0.763 0.728 0.252
21 Zn 0.772 0.535 0.524
22 Zn 0.965 0.737 0.989
23 Zn 0.976 0.511 0.248
24 Zn 0.989 0.965 0.737
25 P 0.000 0.000 0.000
26 P 0.000 0.500 0.500
27 P 0.010 0.760 0.250
28 P 0.240 0.750 0.990
29 P 0.250 0.010 0.760
30 P 0.250 0.510 0.260
31 P 0.260 0.250 0.510
32 P 0.490 0.740 0.750
33 P 0.500 0.000 0.500
34 P 0.500 0.500 0.000
35 P 0.510 0.260 0.250
36 P 0.740 0.750 0.490
37 P 0.750 0.490 0.740
38 P 0.750 0.990 0.240
39 P 0.760 0.250 0.010
40 P 0.990 0.240 0.750

Summary:
Energy above the most stable polymorph in this dataset = 0.0218 eV per atom
ΔH_f (0 K) = -0.167 eV per atom

=====

Record 9
This record from Materials Project describes crystalline LiLu2Os at its relaxed geometry. The functional is PBE-GGA.

Cell lengths 4.800, 4.800, 4.800 Å; angles 60.00, 60.00, 60.00 degrees
Fractional positions:
1 Li 0.000 0.000 0.000
2 Lu 0.250 0.250 0.250
3 Lu 0.750 0.750 0.750
4 Os 0.500 0.500 0.500

Summary:
ΔH_f (0 K) = -0.323 eV per atom

=====

Record 10
This record from Materials Project describes crystalline TlPO3 at its relaxed geometry. The functional is PBE-GGA.

Cell lengths 7.794, 7.794, 11.380 Å; angles 90.00, 90.00, 90.00 degrees
Fractional positions:
1 Tl 0.000 0.000 0.167
2 Tl 0.000 0.000 0.833
3 Tl 0.000 0.500 0.220
4 Tl 0.000 0.500 0.720
5 Tl 0.500 0.000 0.280
6 Tl 0.500 0.000 0.780
7 Tl 0.500 0.500 0.333
8 Tl 0.500 0.500 0.667
9 P 0.153 0.217 0.468
10 P 0.217 0.847 0.532
11 P 0.283 0.347 0.968
12 P 0.347 0.717 0.032
13 P 0.653 0.283 0.032
14 P 0.717 0.653 0.968
15 P 0.783 0.153 0.532
16 P 0.847 0.783 0.468
17 O 0.054 0.803 0.448
18 O 0.125 0.306 0.038
19 O 0.194 0.375 0.538
20 O 0.197 0.054 0.552
21 O 0.197 0.772 0.653
22 O 0.228 0.197 0.347
23 O 0.272 0.697 0.153
24 O 0.303 0.272 0.847
25 O 0.303 0.554 0.948
26 O 0.306 0.875 0.962
27 O 0.375 0.806 0.462
28 O 0.446 0.303 0.052
29 O 0.554 0.697 0.052
30 O 0.625 0.194 0.462
31 O 0.694 0.125 0.962
32 O 0.697 0.446 0.948
33 O 0.697 0.728 0.847
34 O 0.728 0.303 0.153
35 O 0.772 0.803 0.347
36 O 0.803 0.228 0.653
37 O 0.803 0.946 0.552
38 O 0.806 0.625 0.538
39 O 0.875 0.694 0.038
40 O 0.946 0.197 0.448

Summary:
ΔH_f (0 K) = -2.260 eV per atom
Total energy after the MP2020 corrections = -6.784 eV per atom

=====

Record 11
This record from Materials Project describes crystalline Zr2InNi2 at its relaxed geometry. The functional is PBE-GGA.

Cell lengths 7.217, 7.217, 3.351 Å; angles 90.00, 90.00, 90.00 degrees
Fractional positions:
1 Zr 0.168 0.332 0.000
2 Zr 0.332 0.832 0.000
3 Zr 0.668 0.168 0.000
4 Zr 0.832 0.668 0.000
5 In 0.000 0.000 0.500
6 In 0.500 0.500 0.500
7 Ni 0.125 0.625 0.500
8 Ni 0.375 0.125 0.500
9 Ni 0.625 0.875 0.500
10 Ni 0.875 0.375 0.500

Summary:
ΔH_f (0 K) = -0.501 eV per atom

=====

Record 12
This record from Materials Project describes crystalline LiCO2 at its relaxed geometry. The functional is PBE-GGA.

Cell lengths 15.591, 15.591, 5.574 Å; angles 90.00, 90.00, 120.00 degrees
Fractional positions:
1 Li 0.022 0.297 0.000
2 Li 0.140 0.335 0.469
3 Li 0.195 0.860 0.469
4 Li 0.197 0.536 0.718
5 Li 0.275 0.978 0.000
6 Li 0.297 0.275 0.500
7 Li 0.335 0.195 0.969
8 Li 0.339 0.803 0.718
9 Li 0.464 0.661 0.718
10 Li 0.536 0.339 0.218
11 Li 0.661 0.197 0.218
12 Li 0.665 0.805 0.469
13 Li 0.703 0.725 0.000
14 Li 0.725 0.022 0.500
15 Li 0.803 0.464 0.218
16 Li 0.805 0.140 0.969
17 Li 0.860 0.665 0.969
18 Li 0.978 0.703 0.500
19 C 0.023 0.798 0.988
20 C 0.132 0.662 0.660
21 C 0.146 0.493 0.197
22 C 0.202 0.225 0.988
23 C 0.225 0.023 0.488
24 C 0.338 0.471 0.660
25 C 0.347 0.854 0.197
26 C 0.471 0.132 0.160
27 C 0.493 0.347 0.697
28 C 0.507 0.653 0.197
29 C 0.529 0.868 0.660
30 C 0.653 0.146 0.697
31 C 0.662 0.529 0.160
32 C 0.775 0.977 0.988
33 C 0.798 0.775 0.488
34 C 0.854 0.507 0.697
35 C 0.868 0.338 0.160
36 C 0.977 0.202 0.488
37 O 0.009 0.239 0.690
38 O 0.022 0.223 0.291
39 O 0.111 0.723 0.571
40 O 0.124 0.448 0.000
41 O 0.141 0.463 0.408
42 O 0.201 0.978 0.291
43 O 0.212 0.669 0.726
44 O 0.223 0.201 0.791
45 O 0.230 0.991 0.690
46 O 0.239 0.230 0.190
47 O 0.277 0.389 0.571
48 O 0.322 0.859 0.408
49 O 0.324 0.876 0.000
50 O 0.331 0.543 0.726
51 O 0.389 0.111 0.071
52 O 0.448 0.324 0.500
53 O 0.457 0.788 0.726
54 O 0.463 0.322 0.908
55 O 0.537 0.678 0.408
56 O 0.543 0.212 0.226
57 O 0.552 0.676 0.000
58 O 0.611 0.889 0.571
59 O 0.669 0.457 0.226
60 O 0.676 0.124 0.500
61 O 0.678 0.141 0.908
62 O 0.723 0.611 0.071
63 O 0.761 0.770 0.690
64 O 0.770 0.009 0.190
65 O 0.777 0.799 0.291
66 O 0.788 0.331 0.226
67 O 0.799 0.022 0.791
68 O 0.859 0.537 0.908
69 O 0.876 0.552 0.500
70 O 0.889 0.277 0.071
71 O 0.978 0.777 0.791
72 O 0.991 0.761 0.190

Summary:
ΔH_f (0 K) = -1.511 eV per atom
Total energy after the MP2020 corrections = -6.769 eV per atom